No. 1
meta-GGA r2SCAN CaIn4Ir, optimized geometry; crystal system = orthorhombic
1.0
-2.996 1.926 -2.352
1.097 -4.989 -5.481
-6.083 -5.186 3.503
In Ir Ca
8 2 2
Direct
0.500 0.686 0.065
0.500 0.314 0.565
0.500 0.933 0.750
0.500 0.686 0.435
0.000 0.000 0.000
0.500 0.314 0.935
0.500 0.067 0.250
0.000 0.000 0.500
0.000 0.194 0.750
0.000 0.806 0.250
0.000 0.402 0.250
0.000 0.598 0.750


No. 2
meta-GGA r2SCAN Ca19In8N7, optimized geometry; crystal system = cubic
1.0
0.000 7.352 7.352
7.352 0.000 7.352
7.352 7.352 0.000
In N Ca
8 7 19
Direct
0.825 0.825 0.825
0.175 0.175 0.175
0.825 0.825 0.526
0.175 0.175 0.474
0.526 0.825 0.825
0.175 0.474 0.175
0.474 0.175 0.175
0.825 0.526 0.825
0.674 0.326 0.326
0.000 0.000 0.000
0.326 0.674 0.674
0.674 0.674 0.326
0.326 0.326 0.674
0.674 0.326 0.674
0.326 0.674 0.326
0.500 0.827 0.500
0.500 0.500 0.173
0.500 0.173 0.500
0.166 0.834 0.166
0.827 0.500 0.500
0.827 0.173 0.500
0.500 0.827 0.173
0.173 0.500 0.827
0.827 0.500 0.173
0.834 0.166 0.834
0.500 0.500 0.827
0.834 0.166 0.166
0.166 0.834 0.834
0.834 0.834 0.166
0.173 0.827 0.500
0.500 0.173 0.827
0.500 0.500 0.500
0.166 0.166 0.834
0.173 0.500 0.500


No. 3
meta-GGA r2SCAN CaIn4Ni, optimized geometry; crystal system = orthorhombic
1.0
-1.376 2.697 3.225
-3.100 -5.672 3.421
7.776 -2.711 2.552
Ca In Ni
2 8 2
Direct
0.875 0.250 0.751
0.125 0.750 0.249
0.073 0.250 0.145
0.688 0.452 0.376
0.688 0.048 0.376
0.312 0.952 0.624
0.500 0.500 0.000
0.927 0.750 0.855
0.500 0.000 0.000
0.312 0.548 0.624
0.774 0.750 0.548
0.226 0.250 0.452


Number 1: electronic total energy -25.4196 eV/atom, ρ 8.229 g/cm³. Number 2: electronic total energy -11.9673 eV/atom, ρ 3.715 g/cm³. Number 3: electronic total energy -18.5941 eV/atom, ρ 6.874 g/cm³.